1.
Entry from Materials Project: a relaxed structure of Y2ZnSnO6 (r²SCAN).

Output
Total magnetic moment: 0.00 μB per cell
SG: Fm-3m (225)
VASP energy: -133.76 eV for the cell shown
Formation enthalpy at 0 K: -2.364 eV per atom

Structure (POSCAR):
```
Y2ZnSnO6
1.0
0.000 3.945 3.945
3.945 0.000 3.945
3.945 3.945 0.000
Y Zn Sn O
2 1 1 6
Direct
0.250 0.250 0.250
0.750 0.750 0.750
0.000 0.000 0.000
0.500 0.500 0.500
0.751 0.249 0.249
0.249 0.751 0.751
0.249 0.751 0.249
0.751 0.249 0.751
0.249 0.249 0.751
0.751 0.751 0.249
```

***

2.
Entry from Materials Project: a relaxed structure of NdGe2Ir2 (r²SCAN).

Output
Total magnetic moment: 0.00 μB per cell
SG: P4/nmm (129)
VASP energy: -332.54 eV for the cell shown
Formation enthalpy at 0 K: -0.878 eV per atom

Structure (POSCAR):
```
NdGe2Ir2
1.0
-1.300 -1.803 -3.642
-1.964 -3.069 2.220
-8.383 5.545 0.248
Nd Ge Ir
2 4 4
Direct
0.000 0.500 0.256
0.500 0.000 0.744
0.000 0.000 0.500
0.500 0.500 0.500
0.000 0.500 0.869
0.500 0.000 0.131
0.000 0.000 0.000
0.500 0.500 0.000
0.000 0.500 0.627
0.500 0.000 0.373
```

***

3.
Entry from Materials Project: a relaxed structure of DyTmMg2 (r²SCAN).

Output
Total magnetic moment: 0.00 μB per cell
SG: Fm-3m (225)
VASP energy: -75.77 eV for the cell shown
Formation enthalpy at 0 K: -0.083 eV per atom

Structure (POSCAR):
```
DyTmMg2
1.0
0.000 3.766 3.766
3.766 0.000 3.766
3.766 3.766 0.000
Dy Tm Mg
1 1 2
Direct
0.250 0.250 0.250
0.750 0.750 0.750
0.500 0.500 0.500
0.000 0.000 0.000
```

***

4.
Entry from Materials Project: a relaxed structure of TiCl4 (r²SCAN).

Output
Total magnetic moment: 0.00 μB per cell
SG: P2_1/c (14)
VASP energy: -184.70 eV for the cell shown
Formation enthalpy at 0 K: -1.725 eV per atom

Structure (POSCAR):
```
TiCl4
1.0
6.606 0.000 0.000
0.000 9.659 -2.071
0.000 0.005 9.868
Ti Cl
4 16
Direct
0.576 0.748 0.368
0.076 0.252 0.132
0.424 0.252 0.632
0.924 0.748 0.868
0.575 0.571 0.195
0.075 0.429 0.305
0.425 0.429 0.805
0.925 0.571 0.695
0.613 0.808 0.925
0.113 0.192 0.575
0.387 0.192 0.075
0.887 0.808 0.425
0.080 0.920 0.807
0.580 0.080 0.693
0.920 0.080 0.193
0.420 0.920 0.307
0.078 0.693 0.044
0.578 0.307 0.456
0.922 0.307 0.956
0.422 0.693 0.544
```

***

5.
Entry from Materials Project: a relaxed structure of EuNbO4 (r²SCAN).

Output
Total magnetic moment: 12.00 μB per cell
SG: C2/c (15)
VASP energy: -210.63 eV for the cell shown
Formation enthalpy at 0 K: -3.028 eV per atom

Structure (POSCAR):
```
EuNbO4
1.0
5.564 3.596 0.007
-5.564 3.596 0.007
0.000 3.402 3.888
Eu Nb O
2 2 8
Direct
0.129 0.871 0.750
0.871 0.129 0.250
0.606 0.394 0.750
0.394 0.606 0.250
0.130 0.553 0.165
0.447 0.870 0.335
0.870 0.447 0.835
0.553 0.130 0.665
0.711 0.772 0.800
0.228 0.289 0.700
0.289 0.228 0.200
0.772 0.711 0.300
```

***

6.
Entry from Materials Project: a relaxed structure of ZrCoGe (r²SCAN).

Output
Total magnetic moment: 4.00 μB per cell
SG: Pnma (62)
VASP energy: -207.78 eV for the cell shown
Formation enthalpy at 0 K: -0.696 eV per atom

Structure (POSCAR):
```
ZrCoGe
1.0
4.032 0.000 0.000
0.000 6.528 0.000
0.000 0.000 7.099
Zr Co Ge
4 4 4
Direct
0.250 0.998 0.796
0.250 0.498 0.704
0.750 0.002 0.204
0.750 0.502 0.296
0.250 0.153 0.435
0.250 0.653 0.065
0.750 0.847 0.565
0.750 0.347 0.935
0.250 0.779 0.396
0.250 0.279 0.104
0.750 0.221 0.604
0.750 0.721 0.896
```

***

7.
Entry from Materials Project: a relaxed structure of MgMo2O7 (r²SCAN).

Output
Total magnetic moment: 0.00 μB per cell
SG: P2_1/c (14)
VASP energy: -486.42 eV for the cell shown
Formation enthalpy at 0 K: -2.348 eV per atom

Structure (POSCAR):
```
MgMo2O7
1.0
5.695 0.000 0.000
0.000 8.145 -0.011
0.000 6.389 13.583
Mg Mo O
4 8 28
Direct
0.127 0.987 0.910
0.627 0.013 0.590
0.873 0.013 0.090
0.373 0.987 0.410
0.367 0.707 0.127
0.133 0.707 0.627
0.633 0.293 0.873
0.867 0.293 0.373
0.627 0.753 0.864
0.127 0.247 0.636
0.373 0.247 0.136
0.873 0.753 0.364
0.674 0.356 0.751
0.174 0.644 0.749
0.326 0.644 0.249
0.826 0.356 0.251
0.866 0.139 0.935
0.366 0.861 0.565
0.134 0.861 0.065
0.634 0.139 0.435
0.369 0.178 0.904
0.869 0.822 0.596
0.631 0.822 0.096
0.131 0.178 0.404
0.108 0.807 0.422
0.608 0.193 0.078
0.892 0.193 0.578
0.392 0.807 0.922
0.886 0.889 0.239
0.386 0.111 0.261
0.114 0.111 0.761
0.614 0.889 0.739
0.627 0.507 0.892
0.118 0.197 0.091
0.382 0.197 0.591
0.882 0.803 0.909
0.873 0.507 0.392
0.373 0.493 0.108
0.127 0.493 0.608
0.618 0.803 0.409
```

***

8.
Entry from Materials Project: a relaxed structure of Hf3Al3C5 (r²SCAN).

Output
Total magnetic moment: 0.00 μB per cell
SG: P6_3/mmc (194)
VASP energy: -427.13 eV for the cell shown
Formation enthalpy at 0 K: -0.744 eV per atom

Structure (POSCAR):
```
Hf3Al3C5
1.0
-0.699 2.927 1.385
-1.441 -2.758 1.138
20.567 -3.454 17.679
Hf Al C
6 6 10
Direct
0.333 0.667 0.594
0.333 0.667 0.906
0.667 0.333 0.094
0.667 0.333 0.406
0.000 0.000 0.000
0.000 0.000 0.500
0.667 0.333 0.824
0.333 0.667 0.324
0.000 0.000 0.750
0.333 0.667 0.176
0.667 0.333 0.676
0.000 0.000 0.250
0.333 0.667 0.050
0.000 0.000 0.849
0.000 0.000 0.349
0.667 0.333 0.950
0.667 0.333 0.550
0.333 0.667 0.450
0.000 0.000 0.651
0.000 0.000 0.151
0.667 0.333 0.750
0.333 0.667 0.250
```